Record 1
PaBiAu2 after structural relaxation. Source: the Materials Project database, functional PBE.

* V: 94.2 Å³ per cell
* energy relative to the elements: -0.28 eV/atom

Structure (POSCAR):
```
PaBiAu2
1.0
-4.365 -2.639 -0.254
-3.849 1.703 -2.892
-1.249 -2.462 -4.296
Pa Bi Au
1 1 2
direct
0.000 0.000 0.000
0.500 0.500 0.500
0.750 0.750 0.750
0.250 0.250 0.250
```

=====

Record 2
LaMoN3 after structural relaxation. Source: the Materials Project database, functional PBE.

* V: 70.8 Å³ per cell
* energy relative to the elements: -1.07 eV/atom

Structure (POSCAR):
```
LaMoN3
1.0
3.898 0.000 0.000
0.000 3.898 0.000
0.000 0.000 4.660
La Mo N
1 1 3
direct
0.500 0.500 0.363
0.000 0.000 0.806
0.000 0.500 0.689
0.000 0.000 0.189
0.500 0.000 0.689
```